Entry from the Materials Project database: crystalline PbBrF at its relaxed geometry (GGA-PBE).

It has space group P4/nmm (No. 129, origin choice 2), with a = 4.2224 Å, b = 4.2224 Å, c = 7.7605 Å, α = 90.00°, β = 90.00° and γ = 90.00°. Symmetry generates all atoms from Pb at (0.2500, 0.2500, 0.1929), Br at (0.2500, 0.2500, 0.6476) and F at (0.2500, 0.7500, 0.0000).

The calculation puts the energy relative to the elements at -1.814 eV per atom. As for the total energy: -4.081 eV per atom. The theoretical density comes out at 7.3 g/cm3.



Entry from the Materials Project database: crystalline TbCdF6 at its relaxed geometry (GGA-PBE).

It has space group P4_2/m (No. 84), with a = 5.3805 Å, b = 5.3805 Å, c = 7.8874 Å, α = 90.00°, β = 90.00° and γ = 90.00°. Symmetry generates all atoms from Tb at (0.0000, 0.0000, 0.2500), Cd at (0.5000, 0.5000, 0.0000), F at (0.1534, 0.8033, 0.0000) and F at (0.2476, 0.6877, 0.3260).

The total magnetization comes out at 0.13 μB/atom. The calculation puts the energy relative to the elements at -3.111 eV per atom. As for the total energy: -4.895 eV per atom. The theoretical density comes out at 5.6 g/cm3.